## NaInW2O6 (PBE with a Hubbard U)

Data for a geometry-optimized NaInW2O6 structure.

Cell lengths 5.682, 5.682, 5.682 Å; angles 60.00, 60.00, 60.00 degrees
Sites, in units of the cell vectors:
Na 0.500 0.500 0.500
In 0.000 0.000 0.000
W 0.250 0.250 0.250
W 0.750 0.750 0.750
O 0.000 0.000 0.500
O 0.500 0.500 0.000
O 0.000 0.500 0.500
O 0.500 0.000 0.000
O 0.000 0.500 0.000
O 0.500 0.000 0.500

Computed properties:
* calculated formation energy: -1845 meV per atom
* space group: Fm-3m
* density: 7.70 g/cm³